(1)
! SnO PBE-GGA relaxed; values from VASP
&SYSTEM
  ibrav = 0, nat = 4, ntyp = 2
/
ATOMIC_SPECIES
O 16.00 O.upf
Sn 118.71 Sn.upf
CELL_PARAMETERS angstrom
4.632 0.000 0.000
0.000 4.632 0.000
0.000 0.000 3.044
ATOMIC_POSITIONS crystal
O 0.500 0.000 0.017
O 0.000 0.500 0.983
Sn 0.500 0.500 0.000
Sn 0.000 0.000 0.000
! DFT formation energy   -1.1842 eV/atom
! Crystal system   tetragonal
! ρ   6.85 g cm⁻³

(2)
! Sn5O6 PBE-GGA relaxed; values from VASP
&SYSTEM
  ibrav = 0, nat = 22, ntyp = 2
/
ATOMIC_SPECIES
Sn 118.71 Sn.upf
O 16.00 O.upf
CELL_PARAMETERS angstrom
-1.762 -4.299 -1.716
-0.900 -1.842 5.539
-12.760 5.130 0.252
ATOMIC_POSITIONS crystal
Sn 0.000 0.180 0.902
Sn 0.500 0.500 0.500
Sn 0.500 0.848 0.306
Sn 0.000 0.820 0.098
Sn 0.500 0.680 0.902
Sn 0.000 0.000 0.500
Sn 0.000 0.348 0.306
Sn 0.500 0.320 0.098
Sn 0.000 0.652 0.694
Sn 0.500 0.152 0.694
O 0.825 0.036 0.361
O 0.675 0.536 0.361
O 0.303 0.791 0.443
O 0.197 0.291 0.443
O 0.697 0.209 0.557
O 0.677 0.369 0.955
O 0.823 0.869 0.955
O 0.175 0.964 0.639
O 0.177 0.131 0.045
O 0.323 0.631 0.045
O 0.803 0.709 0.557
O 0.325 0.464 0.639
! DFT formation energy   -1.7622 eV/atom
! Crystal system   monoclinic
! ρ   5.70 g cm⁻³

(3)
! SnO PBE-GGA relaxed; values from VASP
&SYSTEM
  ibrav = 0, nat = 2, ntyp = 2
/
ATOMIC_SPECIES
O 16.00 O.upf
Sn 118.71 Sn.upf
CELL_PARAMETERS angstrom
-0.922 1.369 -2.829
2.378 -1.623 -1.561
-1.913 -2.322 -0.500
ATOMIC_POSITIONS crystal
O 0.500 0.500 0.000
Sn 0.000 0.000 0.000
! DFT formation energy   -1.1853 eV/atom
! Crystal system   tetragonal
! ρ   6.84 g cm⁻³